Material: Ce2CrN3
Method: DFT, PBE
State: optimized geometry Values from VASP.

## Properties
The crystal system is orthorhombic. Its energy of formation from the pure elements is -8.7 eV per formula unit. As for the space-group type: Immm, No. 71. As for the total energy: -54.1 eV per cell.

```
&SYSTEM
  ibrav = 0, nat = 6, ntyp = 3
/
ATOMIC_SPECIES
Ce 140.12 Ce.upf
Cr 52.00 Cr.upf
N 14.01 N.upf
CELL_PARAMETERS angstrom
-1.731 1.871 6.297
1.731 -1.871 6.297
1.731 1.871 -6.297
ATOMIC_POSITIONS crystal
Ce 0.147 0.147 0.000
Ce 0.853 0.853 0.000
Cr 0.500 0.500 0.000
N 0.000 0.500 0.500
N 0.336 0.336 0.000
N 0.664 0.664 0.000
```

Material: SrSn3Pd
Method: DFT, PBE
State: optimized geometry Values from VASP.

## Properties
The crystal system is tetragonal. Its energy of formation from the pure elements is -2.9 eV per formula unit. As for the space-group type: I4mm, No. 107. As for the total energy: -21.8 eV per cell.

```
&SYSTEM
  ibrav = 0, nat = 5, ntyp = 3
/
ATOMIC_SPECIES
Sr 87.62 Sr.upf
Sn 118.71 Sn.upf
Pd 106.42 Pd.upf
CELL_PARAMETERS angstrom
-2.443 2.443 5.682
2.443 -2.443 5.682
2.443 2.443 -5.682
ATOMIC_POSITIONS crystal
Sr 0.000 0.000 0.000
Sn 0.252 0.752 0.500
Sn 0.588 0.588 0.000
Sn 0.752 0.252 0.500
Pd 0.356 0.356 0.000
```

Material: CsMgAsH12O10
Method: DFT, PBE
State: optimized geometry Values from VASP.

## Properties
The crystal system is cubic. Its energy of formation from the pure elements is -39.7 eV per formula unit. As for the space-group type: F-43m, No. 216. As for the total energy: -130.2 eV per cell.

```
&SYSTEM
  ibrav = 0, nat = 25, ntyp = 5
/
ATOMIC_SPECIES
Cs 132.91 Cs.upf
Mg 24.30 Mg.upf
As 74.92 As.upf
H 1.01 H.upf
O 16.00 O.upf
CELL_PARAMETERS angstrom
0.000 5.138 5.138
5.138 0.000 5.138
5.138 5.138 0.000
ATOMIC_POSITIONS crystal
Cs 0.000 0.000 0.000
Mg 0.750 0.750 0.750
As 0.500 0.500 0.500
H 0.124 0.489 0.489
H 0.124 0.489 0.898
H 0.124 0.898 0.489
H 0.489 0.124 0.489
H 0.489 0.124 0.898
H 0.489 0.489 0.124
H 0.489 0.489 0.898
H 0.489 0.898 0.124
H 0.489 0.898 0.489
H 0.898 0.124 0.489
H 0.898 0.489 0.124
H 0.898 0.489 0.489
O 0.403 0.403 0.403
O 0.403 0.403 0.791
O 0.403 0.791 0.403
O 0.545 0.545 0.955
O 0.545 0.955 0.545
O 0.545 0.955 0.955
O 0.791 0.403 0.403
O 0.955 0.545 0.545
O 0.955 0.545 0.955
O 0.955 0.955 0.545
```

Material: CaPr2Te4
Method: DFT, PBE
State: optimized geometry Values from VASP.

## Properties
The crystal system is tetragonal. Its energy of formation from the pure elements is -12.2 eV per formula unit. As for the space-group type: I-42d, No. 122. As for the total energy: -69.2 eV per cell.

```
&SYSTEM
  ibrav = 0, nat = 14, ntyp = 3
/
ATOMIC_SPECIES
Ca 40.08 Ca.upf
Pr 140.91 Pr.upf
Te 127.60 Te.upf
CELL_PARAMETERS angstrom
-4.791 4.791 4.839
4.791 -4.791 4.839
4.791 4.791 -4.839
ATOMIC_POSITIONS crystal
Ca 0.000 0.000 0.000
Ca 0.750 0.250 0.500
Pr 0.249 0.625 0.124
Pr 0.375 0.499 0.624
Pr 0.501 0.125 0.876
Pr 0.875 0.751 0.376
Te 0.125 0.226 0.748
Te 0.127 0.728 0.752
Te 0.272 0.024 0.399
Te 0.478 0.377 0.252
Te 0.623 0.875 0.101
Te 0.625 0.873 0.601
Te 0.774 0.522 0.899
Te 0.976 0.375 0.248
```

Material: Na3U2H5Se4O18
Method: DFT, PBE
State: optimized geometry Values from VASP.

## Properties
For the magnetic moment, the calculation gives 0.000 μB/atom. The crystal system is triclinic. Its energy of formation from the pure elements is -64.1 eV per formula unit. As for the space-group type: P-1, No. 2. As for the total energy: -396.5 eV per cell.

```
&SYSTEM
  ibrav = 0, nat = 64, ntyp = 5
/
ATOMIC_SPECIES
Na 22.99 Na.upf
U 238.03 U.upf
H 1.01 H.upf
Se 78.96 Se.upf
O 16.00 O.upf
CELL_PARAMETERS angstrom
9.771 0.000 0.000
4.603 8.788 0.000
4.745 -1.121 10.671
ATOMIC_POSITIONS crystal
Na 0.087 0.132 0.483
Na 0.237 0.425 0.486
Na 0.341 0.720 0.499
Na 0.659 0.280 0.501
Na 0.763 0.575 0.514
Na 0.913 0.868 0.517
U 0.158 0.352 0.198
U 0.368 0.808 0.800
U 0.632 0.192 0.200
U 0.842 0.648 0.802
H 0.000 0.302 0.023
H 0.000 0.698 0.977
H 0.041 0.704 0.102
H 0.094 0.266 0.669
H 0.158 0.181 0.892
H 0.284 0.144 0.618
H 0.716 0.856 0.382
H 0.842 0.819 0.108
H 0.906 0.734 0.331
H 0.959 0.296 0.898
Se 0.048 0.015 0.241
Se 0.281 0.614 0.223
Se 0.304 0.461 0.760
Se 0.481 0.941 0.207
Se 0.519 0.059 0.793
Se 0.696 0.539 0.240
Se 0.719 0.386 0.777
Se 0.952 0.985 0.759
O 0.028 0.236 0.951
O 0.052 0.378 0.371
O 0.064 0.924 0.604
O 0.087 0.517 0.827
O 0.102 0.632 0.204
O 0.105 0.951 0.812
O 0.109 0.158 0.181
O 0.197 0.217 0.590
O 0.206 0.663 0.378
O 0.267 0.333 0.028
O 0.298 0.838 0.969
O 0.301 0.615 0.823
O 0.329 0.084 0.790
O 0.353 0.485 0.606
O 0.368 0.413 0.216
O 0.369 0.914 0.351
O 0.395 0.144 0.219
O 0.454 0.773 0.628
O 0.546 0.227 0.372
O 0.605 0.856 0.781
O 0.631 0.086 0.649
O 0.632 0.587 0.784
O 0.647 0.515 0.394
O 0.671 0.916 0.210
O 0.699 0.385 0.177
O 0.702 0.162 0.031
O 0.733 0.667 0.972
O 0.794 0.337 0.622
O 0.803 0.783 0.410
O 0.891 0.842 0.819
O 0.895 0.049 0.188
O 0.898 0.368 0.796
O 0.913 0.483 0.173
O 0.936 0.076 0.396
O 0.948 0.622 0.629
O 0.972 0.764 0.049
```

Material: SbPC3Cl5O
Method: DFT, PBE
State: optimized geometry Values from VASP.

## Properties
The energy above the most stable polymorph in this dataset is 0 meV per atom. For the magnetic moment, the calculation gives 0.018 μB/atom. The crystal system is triclinic. Its energy of formation from the pure elements is 0.2 eV per formula unit. As for the space-group type: P1, No. 1. As for the total energy: -202.1 eV per cell.

```
&SYSTEM
  ibrav = 0, nat = 44, ntyp = 5
/
ATOMIC_SPECIES
Sb 121.76 Sb.upf
P 30.97 P.upf
C 12.01 C.upf
Cl 35.45 Cl.upf
O 16.00 O.upf
CELL_PARAMETERS angstrom
9.063 0.000 0.000
0.002 9.333 0.000
0.069 0.058 16.544
ATOMIC_POSITIONS crystal
Sb 0.000 0.000 0.000
Sb 0.003 0.308 0.500
Sb 0.493 0.500 0.750
Sb 0.499 0.808 0.250
P 0.415 0.137 0.184
P 0.582 0.172 0.684
P 0.914 0.636 0.566
P 0.915 0.672 0.066
C 0.056 0.766 0.506
C 0.057 0.542 0.007
C 0.067 0.785 0.585
C 0.068 0.521 0.085
C 0.430 0.022 0.665
C 0.441 0.042 0.744
C 0.464 0.187 0.292
C 0.533 0.121 0.792
C 0.555 0.266 0.243
C 0.569 0.286 0.164
C 0.965 0.687 0.458
C 0.966 0.620 0.958
Cl 0.006 0.142 0.604
Cl 0.235 0.459 0.766
Cl 0.238 0.847 0.264
Cl 0.261 0.349 0.484
Cl 0.261 0.964 0.986
Cl 0.484 0.086 0.374
Cl 0.491 0.665 0.645
Cl 0.498 0.652 0.365
Cl 0.498 0.655 0.864
Cl 0.499 0.642 0.146
Cl 0.512 0.221 0.874
Cl 0.739 0.345 0.488
Cl 0.739 0.959 0.986
Cl 0.757 0.462 0.761
Cl 0.760 0.845 0.263
Cl 0.987 0.586 0.376
Cl 0.988 0.721 0.875
Cl 0.997 0.165 0.104
Cl 0.999 0.153 0.385
Cl 0.999 0.156 0.885
O 0.002 0.488 0.575
O 0.003 0.819 0.074
O 0.494 0.320 0.675
O 0.502 0.989 0.175
```